A) PBE with a Hubbard U La7Mn8O24, optimized geometry; symmetry = P-1
1.0
7.8504 0.0000 0.0000
-3.8047 8.7217 0.0000
-3.8893 -1.8540 14.0322
La Mn O
14 16 48
direct
0.0003 0.2491 0.2514 La
0.9997 0.7509 0.7486 La
0.1205 0.1237 0.6263 La
0.1271 0.6261 0.1243 La
0.2482 0.5024 0.5010 La
0.2564 0.0071 0.0039 La
0.3772 0.3804 0.8763 La
0.3772 0.8816 0.3717 La
0.6228 0.1184 0.6283 La
0.6228 0.6196 0.1237 La
0.7436 0.9929 0.9961 La
0.7518 0.4976 0.4990 La
0.8729 0.3739 0.8757 La
0.8795 0.8763 0.3737 La
0.0665 0.4406 0.6882 Mn
0.0667 0.9401 0.1874 Mn
0.1901 0.3121 0.0651 Mn
0.1898 0.8122 0.5641 Mn
0.3127 0.6894 0.9352 Mn
0.3155 0.1895 0.4365 Mn
0.4368 0.0594 0.8124 Mn
0.4393 0.5599 0.3120 Mn
0.5607 0.4401 0.6880 Mn
0.5632 0.9406 0.1876 Mn
0.6845 0.8105 0.5635 Mn
0.6873 0.3106 0.0648 Mn
0.8102 0.1878 0.4359 Mn
0.8099 0.6879 0.9349 Mn
0.9333 0.0599 0.8126 Mn
0.9335 0.5594 0.3118 Mn
0.0273 0.6713 0.4425 O
0.0444 0.7631 0.2615 O
0.0577 0.1947 0.4197 O
0.0709 0.6831 0.9597 O
0.0742 0.1061 0.1067 O
0.1018 0.2123 0.9318 O
0.1355 0.6297 0.6295 O
0.1465 0.5389 0.8207 O
0.1842 0.0759 0.7948 O
0.1967 0.0711 0.3088 O
0.1990 0.5630 0.3345 O
0.2116 0.9871 0.4859 O
0.2589 0.4234 0.1919 O
0.2849 0.5152 0.0158 O
0.2957 0.9275 0.1636 O
0.3078 0.4122 0.7062 O
0.3211 0.8686 0.8679 O
0.3335 0.9699 0.6770 O
0.4038 0.2873 0.5732 O
0.4094 0.3982 0.3989 O
0.4285 0.8205 0.5376 O
0.4435 0.3150 0.0710 O
0.4580 0.7342 0.2338 O
0.4706 0.8339 0.0548 O
0.5294 0.1661 0.9452 O
0.5420 0.2658 0.7662 O
0.5565 0.6850 0.9290 O
0.5715 0.1795 0.4624 O
0.5906 0.6018 0.6011 O
0.5962 0.7127 0.4268 O
0.6665 0.0301 0.3230 O
0.6789 0.1314 0.1321 O
0.6922 0.5878 0.2938 O
0.7043 0.0725 0.8364 O
0.7151 0.4848 0.9842 O
0.7411 0.5766 0.8081 O
0.7884 0.0129 0.5141 O
0.8010 0.4370 0.6655 O
0.8033 0.9289 0.6912 O
0.8158 0.9241 0.2052 O
0.8535 0.4611 0.1793 O
0.8645 0.3703 0.3705 O
0.8982 0.7877 0.0682 O
0.9258 0.8939 0.8933 O
0.9291 0.3169 0.0403 O
0.9423 0.8053 0.5803 O
0.9556 0.2369 0.7385 O
0.9727 0.3287 0.5575 O


B) PBE with a Hubbard U La7Mn8O24, optimized geometry; symmetry = I-4m2
1.0
-3.8866 3.8866 7.9066
3.8866 -3.8866 7.9066
3.8866 3.8866 -7.9066
La Mn O
7 8 24
direct
0.0000 0.0000 0.0000 La
0.2495 0.2495 0.0000 La
0.2500 0.7500 0.5000 La
0.5000 0.5000 0.0000 La
0.5020 0.0020 0.5000 La
0.7505 0.7505 0.0000 La
0.9980 0.4980 0.5000 La
0.1200 0.1262 0.5002 Mn
0.1200 0.6198 0.9939 Mn
0.3802 0.3740 0.5002 Mn
0.3802 0.8800 0.0061 Mn
0.6260 0.1262 0.0061 Mn
0.6260 0.6198 0.4998 Mn
0.8738 0.3740 0.9939 Mn
0.8738 0.8800 0.4998 Mn
0.0144 0.5144 0.0288 O
0.0144 0.9856 0.5000 O
0.1035 0.3844 0.7191 O
0.1220 0.4172 0.2951 O
0.1220 0.8269 0.7049 O
0.1731 0.8780 0.2951 O
0.2467 0.2467 0.4934 O
0.2467 0.7533 0.0000 O
0.3219 0.1236 0.1983 O
0.3742 0.1694 0.7951 O
0.3742 0.5791 0.2049 O
0.4209 0.6258 0.7952 O
0.4856 0.5144 0.5000 O
0.4856 0.9856 0.9712 O
0.5828 0.8780 0.7049 O
0.6156 0.3346 0.7191 O
0.6156 0.8965 0.2809 O
0.6654 0.3844 0.2809 O
0.7533 0.2467 0.0000 O
0.7533 0.7533 0.5066 O
0.8306 0.6258 0.2049 O
0.8764 0.0747 0.1983 O
0.8764 0.6781 0.8017 O
0.9253 0.1236 0.8017 O


Which is most stable? The ranking, best first, is A), B).


A) PBE with a Hubbard U SrLa2Mn3O9, optimized geometry; symmetry = P-3c1
1.0
5.5817 0.0000 0.0000
-2.7908 4.8339 0.0000
0.0000 0.0000 13.4992
Sr La Mn O
2 4 6 18
direct
0.0000 0.0000 0.2500 Sr
0.0000 0.0000 0.7500 Sr
0.3333 0.6667 0.0843 La
0.3333 0.6667 0.5843 La
0.6667 0.3333 0.4157 La
0.6667 0.3333 0.9157 La
0.0000 0.0000 0.0000 Mn
0.0000 0.0000 0.5000 Mn
0.3333 0.6667 0.3325 Mn
0.3333 0.6667 0.8325 Mn
0.6667 0.3333 0.1675 Mn
0.6667 0.3333 0.6675 Mn
0.0000 0.4573 0.2500 O
0.0000 0.5427 0.7500 O
0.1098 0.3367 0.9206 O
0.1098 0.7730 0.4206 O
0.2270 0.3367 0.4206 O
0.2270 0.8902 0.9206 O
0.3367 0.1098 0.5794 O
0.3367 0.2270 0.0794 O
0.4573 0.0000 0.2500 O
0.4573 0.4573 0.7500 O
0.5427 0.0000 0.7500 O
0.5427 0.5427 0.2500 O
0.6633 0.7730 0.9206 O
0.6633 0.8902 0.4206 O
0.7730 0.1098 0.0794 O
0.7730 0.6633 0.5794 O
0.8902 0.2270 0.5794 O
0.8902 0.6633 0.0794 O


B) PBE with a Hubbard U SrLa2Mn3O9, optimized geometry; symmetry = C2/m
1.0
4.7957 -2.7730 0.0000
4.7957 2.7730 0.0000
-0.0119 0.0000 6.7878
Sr La Mn O
1 2 3 9
direct
0.0000 0.0000 0.0000 Sr
0.3333 0.3333 0.3329 La
0.6667 0.6667 0.6671 La
0.0000 0.0000 0.5000 Mn
0.3333 0.3333 0.8351 Mn
0.6667 0.6667 0.1649 Mn
0.0000 0.5000 0.0000 O
0.1693 0.1693 0.6586 O
0.1696 0.6607 0.6591 O
0.3393 0.8304 0.3409 O
0.5000 0.0000 0.0000 O
0.5000 0.5000 0.0000 O
0.6607 0.1696 0.6591 O
0.8304 0.3393 0.3409 O
0.8307 0.8307 0.3414 O


Which is most stable? The ranking, best first, is A), B).


A) PBE with a Hubbard U SrLa2Mn3O9, optimized geometry; symmetry = P3m1
1.0
5.5475 0.0000 0.0000
-2.7737 4.8043 0.0000
0.0000 0.0000 6.7719
Sr La Mn O
1 2 3 9
direct
0.0000 0.0000 0.0000 Sr
0.3333 0.6667 0.6658 La
0.6667 0.3333 0.3308 La
0.0000 0.0000 0.4983 Mn
0.3333 0.6667 0.1648 Mn
0.6667 0.3333 0.8337 Mn
0.0099 0.5049 0.0068 O
0.1737 0.3474 0.3363 O
0.1737 0.8263 0.3363 O
0.3369 0.1684 0.6578 O
0.4951 0.5049 0.0068 O
0.4951 0.9901 0.0068 O
0.6526 0.8263 0.3363 O
0.8316 0.1684 0.6578 O
0.8316 0.6631 0.6578 O


B) PBE with a Hubbard U SrLa2Mn3O9, optimized geometry; symmetry = P2_1/c
1.0
13.6400 0.0000 0.0000
0.0000 5.5365 0.0000
-0.1579 0.0000 9.6017
Sr La Mn O
4 8 12 36
direct
0.2502 0.0077 0.0037 Sr
0.2502 0.4923 0.5037 Sr
0.7498 0.5077 0.4963 Sr
0.7498 0.9923 0.9963 Sr
0.0829 0.5093 0.1698 La
0.0829 0.9907 0.6698 La
0.4155 0.5085 0.8370 La
0.4155 0.9915 0.3370 La
0.5845 0.0085 0.6630 La
0.5845 0.4915 0.1630 La
0.9171 0.0093 0.3302 La
0.9171 0.4907 0.8302 La
0.0000 0.0000 0.0000 Mn
0.0000 0.5000 0.5000 Mn
0.1680 0.0007 0.3345 Mn
0.1680 0.4993 0.8345 Mn
0.3328 0.0005 0.6673 Mn
0.3328 0.4995 0.1673 Mn
0.5000 0.0000 0.0000 Mn
0.5000 0.5000 0.5000 Mn
0.6672 0.5005 0.8327 Mn
0.6672 0.9995 0.3327 Mn
0.8320 0.5007 0.1655 Mn
0.8320 0.9993 0.6655 Mn
0.0664 0.7346 0.9001 O
0.0664 0.7654 0.4001 O
0.0731 0.2377 0.8903 O
0.0731 0.2623 0.3903 O
0.0996 0.5024 0.6508 O
0.0996 0.9976 0.1508 O
0.2276 0.0035 0.5233 O
0.2276 0.4965 0.0233 O
0.2582 0.7420 0.2733 O
0.2582 0.7580 0.7733 O
0.2658 0.2363 0.2678 O
0.2658 0.2637 0.7678 O
0.4062 0.7452 0.5641 O
0.4062 0.7548 0.0641 O
0.4139 0.2342 0.5574 O
0.4139 0.2658 0.0574 O
0.4403 0.5019 0.3108 O
0.4403 0.9981 0.8108 O
0.5597 0.0019 0.1892 O
0.5597 0.4981 0.6892 O
0.5861 0.7342 0.9426 O
0.5861 0.7658 0.4426 O
0.5938 0.2452 0.9359 O
0.5938 0.2548 0.4359 O
0.7342 0.7363 0.2322 O
0.7342 0.7637 0.7322 O
0.7418 0.2420 0.2267 O
0.7418 0.2580 0.7267 O
0.7724 0.5035 0.9767 O
0.7724 0.9965 0.4767 O
0.9004 0.0024 0.8492 O
0.9004 0.4976 0.3492 O
0.9269 0.7377 0.6097 O
0.9269 0.7623 0.1097 O
0.9336 0.2346 0.5999 O
0.9336 0.2654 0.0999 O


Which is most stable? The ranking, best first, is B), A).


A) PBE with a Hubbard U Sr2LaMn2O7, optimized geometry; symmetry = C2
1.0
2.7918 -10.0260 0.0000
2.7918 10.0260 0.0000
-0.2236 0.0000 5.5765
Sr La Mn O
4 2 4 14
direct
0.0000 0.0000 0.0000 Sr
0.3240 0.6760 0.5000 Sr
0.5002 0.4998 0.5000 Sr
0.8242 0.1758 0.0000 Sr
0.1364 0.8636 0.5000 La
0.6367 0.3633 0.0000 La
0.2223 0.7777 0.0000 Mn
0.4178 0.5822 0.0000 Mn
0.7241 0.2759 0.5000 Mn
0.9176 0.0824 0.5000 Mn
0.0184 0.9816 0.5000 O
0.1224 0.8776 0.0000 O
0.1513 0.3184 0.2653 O
0.1670 0.3328 0.7497 O
0.3168 0.6832 0.0000 O
0.4511 0.0188 0.7629 O
0.4630 0.0293 0.2468 O
0.5208 0.4792 0.0000 O
0.6246 0.3754 0.5000 O
0.6672 0.8330 0.2503 O
0.6816 0.8487 0.7347 O
0.8192 0.1808 0.5000 O
0.9707 0.5370 0.7532 O
0.9812 0.5489 0.2371 O


B) PBE with a Hubbard U Sr2LaMn2O7, optimized geometry; symmetry = I4mm
1.0
-1.9629 1.9629 10.1260
1.9629 -1.9629 10.1260
1.9629 1.9629 -10.1260
Sr La Mn O
2 1 2 7
direct
0.0000 0.0000 0.0000 Sr
0.1766 0.1766 0.0000 Sr
0.3642 0.3642 0.0000 La
0.5830 0.5830 0.0000 Mn
0.7768 0.7768 0.0000 Mn
0.0837 0.5837 0.5000 O
0.2834 0.7834 0.5000 O
0.4799 0.4799 0.0000 O
0.5837 0.0837 0.5000 O
0.6821 0.6821 0.0000 O
0.7834 0.2834 0.5000 O
0.8772 0.8772 0.0000 O


Which is most stable? The ranking, best first, is B), A).


A) PBE with a Hubbard U SrLaMnO4, optimized geometry; symmetry = Cmcm
1.0
2.7503 -6.4082 0.0000
2.7503 6.4082 0.0000
0.0000 0.0000 5.5225
Sr La Mn O
2 2 2 8
direct
0.1054 0.8946 0.7500 Sr
0.8946 0.1054 0.2500 Sr
0.3904 0.6096 0.7500 La
0.6096 0.3904 0.2500 La
0.2471 0.7529 0.2500 Mn
0.7529 0.2471 0.7500 Mn
0.0000 0.5000 0.0000 O
0.0000 0.5000 0.5000 O
0.0846 0.9154 0.2500 O
0.4280 0.5720 0.2500 O
0.5000 0.0000 0.0000 O
0.5000 0.0000 0.5000 O
0.5720 0.4280 0.7500 O
0.9154 0.0846 0.7500 O


B) PBE with a Hubbard U SrLaMnO4, optimized geometry; symmetry = I4mm
1.0
3.8897 0.0000 0.0000
0.0000 3.8897 0.0000
0.0000 0.0000 12.8668
Sr La Mn O
2 2 2 8
direct
0.0000 0.0000 0.0000 Sr
0.5000 0.5000 0.5000 Sr
0.0000 0.0000 0.7134 La
0.5000 0.5000 0.2134 La
0.0000 0.0000 0.3596 Mn
0.5000 0.5000 0.8596 Mn
0.0000 0.0000 0.1890 O
0.0000 0.0000 0.5332 O
0.0000 0.5000 0.3512 O
0.0000 0.5000 0.8512 O
0.5000 0.0000 0.3512 O
0.5000 0.0000 0.8512 O
0.5000 0.5000 0.0332 O
0.5000 0.5000 0.6890 O


Which is most stable? The ranking, best first, is B), A).


A) PBE with a Hubbard U Sr3LaMn4O12, optimized geometry; symmetry = P1
1.0
5.4791 0.0000 0.0000
0.0055 5.5151 0.0000
0.0799 0.0000 7.8184
Sr La Mn O
3 1 4 12
direct
0.0000 0.0000 0.0000 Sr
0.0001 0.0028 0.5001 Sr
0.5000 0.5039 0.0001 Sr
0.4999 0.5058 0.5000 La
0.0003 0.5031 0.2485 Mn
0.9997 0.5031 0.7517 Mn
0.5004 0.0032 0.2484 Mn
0.4996 0.0032 0.7517 Mn
0.0000 0.4639 0.0000 O
0.9999 0.5381 0.5000 O
0.2310 0.7719 0.2341 O
0.2351 0.2379 0.7250 O
0.2742 0.7288 0.7625 O
0.2746 0.2776 0.2761 O
0.5000 0.0403 0.0000 O
0.5000 0.9594 0.5000 O
0.7254 0.2776 0.7240 O
0.7257 0.7287 0.2375 O
0.7648 0.2380 0.2749 O
0.7691 0.7720 0.7661 O


B) PBE with a Hubbard U Sr3LaMn4O12, optimized geometry; symmetry = Im-3m
1.0
-3.8947 3.8947 3.8947
3.8947 -3.8947 3.8947
3.8947 3.8947 -3.8947
Sr La Mn O
3 1 4 12
direct
0.0000 0.5000 0.5000 Sr
0.5000 0.0000 0.5000 Sr
0.5000 0.5000 0.0000 Sr
0.0000 0.0000 0.0000 La
0.0000 0.0000 0.5000 Mn
0.0000 0.5000 0.0000 Mn
0.5000 0.0000 0.0000 Mn
0.5000 0.5000 0.5000 Mn
0.0000 0.2455 0.7545 O
0.0000 0.7545 0.2455 O
0.2455 0.0000 0.7545 O
0.2455 0.2455 0.4911 O
0.2455 0.4911 0.2455 O
0.2455 0.7545 0.0000 O
0.4911 0.2455 0.2455 O
0.5089 0.7545 0.7545 O
0.7545 0.0000 0.2455 O
0.7545 0.2455 0.0000 O
0.7545 0.5089 0.7545 O
0.7545 0.7545 0.5089 O


Which is most stable? The ranking, best first, is A), B).